1.
Material: CaH6S4O16
Method: DFT, GGA-PBE
State: optimized geometry

Calculated values
Theoretical density in g/cm3: 1.9
ΔE_f in eV per atom: -1.571
Symmetry: P-1, No. 2
VASP energy in eV for the cell shown: -149.5

```
CaH6S4O16
1.0
-3.624 4.086 -0.485
-2.508 -0.147 7.925
5.407 6.276 2.155
Ca H S O
1 6 4 16
Direct
0.000 0.000 0.000 Ca
0.449 0.304 0.569 H
0.551 0.696 0.431 H
0.176 0.410 0.769 H
0.824 0.590 0.231 H
0.651 0.844 0.617 H
0.349 0.156 0.383 H
0.543 0.135 0.754 S
0.457 0.865 0.246 S
0.085 0.661 0.728 S
0.915 0.339 0.272 S
0.512 0.685 0.319 O
0.488 0.315 0.681 O
0.672 0.038 0.625 O
0.328 0.962 0.375 O
0.700 0.917 0.191 O
0.300 0.083 0.809 O
0.691 0.158 0.882 O
0.309 0.842 0.118 O
0.957 0.775 0.845 O
0.043 0.225 0.155 O
0.344 0.279 0.392 O
0.656 0.721 0.608 O
0.076 0.319 0.429 O
0.924 0.681 0.571 O
0.030 0.488 0.804 O
0.970 0.512 0.196 O
```

=====

2.
Material: CaH6S4O16
Method: DFT, GGA-PBE
State: optimized geometry

Calculated values
Theoretical density in g/cm3: 2.0
ΔE_f in eV per atom: -1.806
Symmetry: P-1, No. 2
VASP energy in eV for the cell shown: -155.8

```
CaH6S4O16
1.0
5.493 0.000 0.000
1.336 7.769 0.000
2.026 -0.092 8.524
Ca H S O
1 6 4 16
Direct
0.000 0.000 0.000 Ca
0.686 0.472 0.800 H
0.314 0.528 0.200 H
0.281 0.475 0.671 H
0.719 0.525 0.329 H
0.721 0.969 0.609 H
0.279 0.031 0.391 H
0.532 0.178 0.765 S
0.468 0.822 0.235 S
0.935 0.662 0.739 S
0.065 0.338 0.261 S
0.497 0.634 0.263 O
0.503 0.366 0.737 O
0.685 0.099 0.601 O
0.315 0.901 0.399 O
0.711 0.882 0.197 O
0.289 0.118 0.803 O
0.685 0.129 0.880 O
0.315 0.871 0.120 O
0.044 0.757 0.838 O
0.956 0.243 0.162 O
0.230 0.242 0.351 O
0.770 0.758 0.649 O
0.852 0.452 0.379 O
0.148 0.548 0.621 O
0.209 0.463 0.148 O
0.791 0.537 0.852 O
```

=====

3.
Material: Ca2H2S2O9
Method: DFT, GGA-PBE
State: optimized geometry

Calculated values
Theoretical density in g/cm3: 2.6
ΔE_f in eV per atom: -2.317
Symmetry: C2, No. 5
VASP energy in eV for the cell shown: -276.5

```
Ca2H2S2O9
1.0
5.562 -7.734 0.708
6.262 -3.409 6.358
-0.764 -9.778 7.580
Ca H S O
6 6 6 27
Direct
0.464 0.536 0.000 Ca
0.004 0.996 0.500 Ca
0.096 0.566 0.432 Ca
0.434 0.904 0.568 Ca
0.917 0.413 0.083 Ca
0.587 0.083 0.917 Ca
0.647 0.351 0.437 H
0.649 0.353 0.563 H
0.997 0.336 0.875 H
0.664 0.003 0.125 H
0.188 0.144 0.939 H
0.856 0.812 0.061 H
0.191 0.644 0.811 S
0.356 0.809 0.189 S
0.206 0.296 0.250 S
0.704 0.794 0.750 S
0.855 0.313 0.689 S
0.687 0.145 0.311 S
0.700 0.263 0.152 O
0.737 0.300 0.848 O
0.213 0.760 0.649 O
0.240 0.787 0.351 O
0.588 0.710 0.146 O
0.290 0.412 0.854 O
0.089 0.216 0.641 O
0.784 0.911 0.359 O
0.159 0.477 0.255 O
0.523 0.841 0.745 O
0.656 0.977 0.754 O
0.023 0.344 0.246 O
0.458 0.228 0.415 O
0.772 0.542 0.585 O
0.959 0.725 0.910 O
0.275 0.041 0.090 O
0.316 0.704 0.168 O
0.296 0.684 0.832 O
0.821 0.196 0.674 O
0.804 0.179 0.326 O
0.745 0.603 0.891 O
0.397 0.255 0.109 O
0.256 0.100 0.386 O
0.900 0.744 0.614 O
0.568 0.432 0.500 O
0.134 0.201 0.867 O
0.799 0.866 0.133 O
```